# 1
This record from the Materials Project database describes a relaxed Na8Nb4Si16O53 crystal. The functional is PBE.

Unit cell a=10.4408 b=11.7506 c=11.7708 alpha=103.68 beta=109.03 gamma=108.99
With the nearest neighbours (Å) after each atom.
Atoms (fractional coordinates):
Na 0.1892 0.1798 0.2409  3 O 2.40-2.43
Na 0.1896 0.6804 0.7417  3 O 2.40-2.42
Na 0.1896 0.9907 0.4303  3 O 2.39-2.43
Na 0.1909 0.4912 0.9300  4 O 2.40-2.68
Na 0.8091 0.5088 0.0700  4 O 2.40-2.68
Na 0.8104 0.0093 0.5697  3 O 2.39-2.43
Na 0.8104 0.3196 0.2583  3 O 2.40-2.42
Na 0.8108 0.8202 0.7591  3 O 2.40-2.43
Nb 0.0729 0.1879 0.9404  2 O 1.81-2.02
Nb 0.0734 0.6887 0.4391  1 O 1.81
Nb 0.9266 0.3113 0.5609  1 O 1.81
Nb 0.9271 0.8121 0.0596  2 O 1.81-2.02
Si 0.1855 0.2064 0.7052  4 O 1.63-1.65
Si 0.1851 0.4555 0.4560  4 O 1.63-1.65
Si 0.1849 0.7067 0.2056  4 O 1.63-1.65
Si 0.1851 0.9560 0.9564  4 O 1.63-1.65
Si 0.2543 0.4751 0.2247  4 O 1.60-1.65
Si 0.2552 0.9749 0.7253  4 O 1.60-1.65
Si 0.3925 0.8422 0.0923  4 O 1.61-1.64
Si 0.3937 0.3424 0.5921  4 O 1.61-1.65
Si 0.6063 0.6576 0.4079  4 O 1.61-1.65
Si 0.6075 0.1578 0.9077  4 O 1.61-1.64
Si 0.7448 0.0251 0.2747  4 O 1.60-1.65
Si 0.7457 0.5249 0.7753  4 O 1.60-1.65
Si 0.8149 0.0440 0.0436  4 O 1.63-1.65
Si 0.8151 0.2933 0.7944  4 O 1.63-1.65
Si 0.8149 0.5445 0.5440  4 O 1.63-1.65
Si 0.8145 0.7936 0.2948  4 O 1.63-1.65
O 0.0275 0.1948 0.6039  1 Si 1.63
O 0.0271 0.6952 0.1042  1 Si 1.63
O 0.0276 0.3539 0.4451  1 Si 1.63
O 0.0281 0.8521 0.9448  1 Si 1.63
O 0.0642 0.4552 0.7049  1 Nb 1.81
O 0.0639 0.9547 0.2059  1 Nb 1.81
O 0.1734 0.0580 0.6607  2 Si 1.65
O 0.1729 0.4102 0.3076  2 Si 1.65
O 0.1730 0.5583 0.1607  2 Si 1.65
O 0.1731 0.9106 0.8081  2 Si 1.65
O 0.2069 0.1047 0.0133  1 Si 1.63
O 0.2094 0.2656 0.8550  1 Si 1.64
O 0.2092 0.7641 0.3556  1 Si 1.63
O 0.2099 0.6056 0.5139  1 Si 1.63
O 0.2424 0.3610 0.1103  1 Si 1.60
O 0.2420 0.8605 0.6107  1 Si 1.60
O 0.3305 0.4435 0.5502  2 Si 1.63
O 0.3309 0.3004 0.6932  2 Si 1.63
O 0.3308 0.8019 0.1948  2 Si 1.63-1.64
O 0.3307 0.9445 0.0513  2 Si 1.63-1.64
O 0.3363 0.7128 0.9634  1 Si 1.64
O 0.3412 0.2134 0.4634  1 Si 1.65
O 0.4251 0.5799 0.3302  2 Si 1.61-1.63
O 0.4260 0.0806 0.8307  2 Si 1.61-1.63
O 0.4632 0.7932 0.5428  1 O 2.09
O 0.4767 0.3150 0.0442  2 O 2.11-2.31
O 0.5000 0.5000 0.0000  2 O 2.31
O 0.5233 0.6850 0.9558  2 O 2.11-2.31
O 0.5368 0.2068 0.4572  1 O 2.09
O 0.5740 0.9194 0.1693  2 Si 1.61-1.63
O 0.5749 0.4201 0.6698  2 Si 1.61-1.63
O 0.6588 0.7866 0.5366  1 Si 1.65
O 0.6637 0.2872 0.0366  1 Si 1.64
O 0.6693 0.0555 0.9487  2 Si 1.63-1.64
O 0.6692 0.1981 0.8052  2 Si 1.63-1.64
O 0.6691 0.6996 0.3068  2 Si 1.63
O 0.6695 0.5565 0.4498  2 Si 1.63
O 0.7580 0.1395 0.3893  1 Si 1.60
O 0.7576 0.6390 0.8897  1 Si 1.60
O 0.7901 0.3944 0.4861  1 Si 1.63
O 0.7908 0.2359 0.6444  1 Si 1.63
O 0.7906 0.7344 0.1450  1 Si 1.64
O 0.7931 0.8953 0.9867  1 Si 1.63
O 0.8269 0.0894 0.1919  2 Si 1.65
O 0.8270 0.4417 0.8393  2 Si 1.65
O 0.8271 0.5898 0.6924  2 Si 1.65
O 0.8266 0.9420 0.3393  2 Si 1.65
O 0.9361 0.0453 0.7941  1 Nb 1.81
O 0.9358 0.5448 0.2951  1 Nb 1.81
O 0.9719 0.1479 0.0552  1 Si 1.63
O 0.9724 0.6461 0.5549  1 Si 1.63
O 0.9729 0.3048 0.8958  1 Si 1.63
O 0.9725 0.8052 0.3961  1 Si 1.63

Properties
Space-group type: P-1 (2)
Total magnetization: 12.079 μB per formula unit
Calculated total energy: -576.19 eV per cell
V: 1192.3 Å³/cell

=====

# 2
This record from the Materials Project database describes a relaxed Na3NbSi3SnO12 crystal. The functional is PBE.

Unit cell a=15.7355 b=9.1185 c=9.0773 alpha=90.00 beta=124.86 gamma=90.00
With the nearest neighbours (Å) after each atom.
Atoms (fractional coordinates):
Na 0.2512 0.7309 0.9941  6 O 2.37-2.66
Na 0.7512 0.7691 0.4941  6 O 2.37-2.66
Na 0.7512 0.2309 0.9941  6 O 2.37-2.66
Na 0.2512 0.2691 0.4941  6 O 2.37-2.66
Na 0.4990 0.1053 0.7461  6 O 2.43-2.66
Na 0.4990 0.8947 0.2461  6 O 2.43-2.66
Na 0.9990 0.6053 0.7461  6 O 2.43-2.66
Na 0.9990 0.3947 0.2461  6 O 2.43-2.66
Na 0.1897 0.9408 0.2920  5 O 2.43-2.69
Na 0.1897 0.0592 0.7920  5 O 2.43-2.69
Na 0.6897 0.4408 0.2920  5 O 2.43-2.69
Na 0.6897 0.5592 0.7920  5 O 2.43-2.69
Nb 0.8927 0.7535 0.9309  6 O 1.93-2.08
Nb 0.8927 0.2465 0.4309  6 O 1.93-2.08
Nb 0.3927 0.2535 0.9309  6 O 1.93-2.08
Nb 0.3927 0.7465 0.4309  6 O 1.93-2.08
Si 0.9987 0.9590 0.7531  4 O 1.63-1.66
Si 0.9987 0.0410 0.2531  4 O 1.63-1.66
Si 0.4987 0.4590 0.7531  4 O 1.63-1.66
Si 0.4987 0.5410 0.2531  4 O 1.63-1.66
Si 0.3532 0.8921 0.7555  4 O 1.62-1.67
Si 0.6440 0.8956 0.7453  4 O 1.62-1.67
Si 0.6440 0.1044 0.2453  4 O 1.62-1.67
Si 0.3532 0.1079 0.2555  4 O 1.62-1.67
Si 0.8532 0.3921 0.7555  4 O 1.62-1.67
Si 0.1440 0.3956 0.7453  4 O 1.62-1.67
Si 0.1440 0.6044 0.2453  4 O 1.62-1.67
Si 0.8532 0.6079 0.2555  4 O 1.62-1.67
Sn 0.1044 0.7496 0.5643  6 O 2.00-2.09
Sn 0.1044 0.2504 0.0643  6 O 2.00-2.09
Sn 0.6044 0.2496 0.5643  6 O 2.00-2.09
Sn 0.6044 0.7504 0.0643  6 O 2.00-2.09
O 0.1508 0.5740 0.7424  1 Si 1.63
O 0.8487 0.5746 0.7590  1 Si 1.67
O 0.8487 0.4254 0.2590  1 Si 1.67
O 0.1508 0.4260 0.2424  1 Si 1.63
O 0.6508 0.0740 0.7424  1 Si 1.63
O 0.3487 0.0746 0.7590  1 Si 1.67
O 0.3487 0.9254 0.2590  1 Si 1.67
O 0.6508 0.9260 0.2424  1 Si 1.63
O 0.4354 0.5735 0.5806  1 Si 1.66
O 0.5752 0.5543 0.9341  1 Si 1.63
O 0.5752 0.4457 0.4341  1 Si 1.63
O 0.4354 0.4265 0.0806  1 Si 1.66
O 0.9354 0.0735 0.5806  1 Si 1.66
O 0.0752 0.0543 0.9341  1 Si 1.63
O 0.0752 0.9457 0.4341  1 Si 1.63
O 0.9354 0.9265 0.0806  1 Si 1.66
O 0.2532 0.8319 0.7483  1 Si 1.63
O 0.7401 0.8094 0.7585  1 Si 1.65
O 0.7401 0.1906 0.2585  1 Si 1.65
O 0.2532 0.1681 0.2483  1 Si 1.63
O 0.7532 0.3319 0.7483  1 Si 1.63
O 0.2401 0.3094 0.7585  1 Si 1.65
O 0.2401 0.6906 0.2585  1 Si 1.65
O 0.7532 0.6681 0.2483  1 Si 1.63
O 0.3544 0.8557 0.5774  1 Si 1.66
O 0.6427 0.8584 0.9183  1 Si 1.62
O 0.6427 0.1416 0.4183  1 Si 1.62
O 0.3544 0.1443 0.0774  1 Si 1.66
O 0.8544 0.3557 0.5774  1 Si 1.66
O 0.1427 0.3584 0.9183  1 Si 1.62
O 0.1427 0.6416 0.4183  1 Si 1.62
O 0.8544 0.6443 0.0774  1 Si 1.66
O 0.4579 0.8343 0.9395  1 Si 1.62
O 0.5353 0.8306 0.5632  1 Si 1.67
O 0.5353 0.1694 0.0632  1 Si 1.67
O 0.4579 0.1657 0.4395  1 Si 1.62
O 0.9579 0.3343 0.9395  1 Si 1.62
O 0.0353 0.3306 0.5632  1 Si 1.67
O 0.0353 0.6694 0.0632  1 Si 1.67
O 0.9579 0.6657 0.4395  1 Si 1.62
O 0.0785 0.8516 0.7419  1 Si 1.64
O 0.9151 0.8529 0.7555  1 Si 1.64
O 0.9151 0.1471 0.2555  1 Si 1.64
O 0.0785 0.1484 0.2419  1 Si 1.64
O 0.5785 0.3516 0.7419  1 Si 1.64
O 0.4151 0.3529 0.7555  1 Si 1.64
O 0.4151 0.6471 0.2555  1 Si 1.64
O 0.5785 0.6484 0.2419  1 Si 1.64

Properties
Total magnetization: 0.000 μB per formula unit
Calculated total energy: -566.01 eV per cell
V: 1068.7 Å³/cell

=====

What are the ΔE_f values for these records? In order: -2.624, -2.801 eV/atom.